1.
DFT (GGA+U) results for a relaxed K3Co2F7 crystal.

a = 11.3578 Å, b = 11.3578 Å, c = 11.3578 Å
α = 159.34°, β = 159.34°, γ = 29.38°
Fractional positions:
1 K 0.0000 0.0000 0.0000
2 K 0.1864 0.1864 0.0000
3 K 0.8136 0.8136 0.0000
4 Co 0.4036 0.4036 0.0000
5 Co 0.5964 0.5964 0.0000
6 F 0.0952 0.5952 0.5000
7 F 0.3079 0.3079 0.0000
8 F 0.4048 0.9048 0.5000
9 F 0.5000 0.5000 0.0000
10 F 0.5952 0.0952 0.5000
11 F 0.6921 0.6921 0.0000
12 F 0.9048 0.4048 0.5000

## Properties
For the formation energy, the calculation gives -2675 meV/atom. As for the space-group type: I4/mmm, No. 139.

---

2.
DFT (GGA+U) results for a relaxed K3CoF6 crystal.

a = 6.2725 Å, b = 6.2725 Å, c = 6.2725 Å
α = 60.00°, β = 60.00°, γ = 60.00°
Fractional positions:
1 K 0.0000 0.0000 0.0000
2 K 0.2500 0.2500 0.2500
3 K 0.7500 0.7500 0.7500
4 Co 0.5000 0.5000 0.5000
5 F 0.2821 0.2821 0.7179
6 F 0.2821 0.7179 0.2821
7 F 0.2821 0.7179 0.7179
8 F 0.7179 0.2821 0.2821
9 F 0.7179 0.2821 0.7179
10 F 0.7179 0.7179 0.2821

## Properties
For the formation energy, the calculation gives -2692 meV/atom. As for the space-group type: Fm-3m, No. 225.

---

3.
DFT (GGA+U) results for a relaxed K2NaCoF6 crystal.

a = 5.8569 Å, b = 5.8569 Å, c = 5.8569 Å
α = 60.00°, β = 60.00°, γ = 60.00°
Fractional positions:
1 K 0.2500 0.2500 0.2500
2 K 0.7500 0.7500 0.7500
3 Na 0.0000 0.0000 0.0000
4 Co 0.5000 0.5000 0.5000
5 F 0.2738 0.2738 0.7262
6 F 0.2738 0.7262 0.2738
7 F 0.2738 0.7262 0.7262
8 F 0.7262 0.2738 0.2738
9 F 0.7262 0.2738 0.7262
10 F 0.7262 0.7262 0.2738

## Properties
For the formation energy, the calculation gives -2741 meV/atom. As for the space-group type: Fm-3m, No. 225.

---

4.
DFT (GGA+U) results for a relaxed KNa2CoF6 crystal.

a = 6.0705 Å, b = 6.0705 Å, c = 6.0705 Å
α = 60.00°, β = 60.00°, γ = 60.00°
Fractional positions:
1 K 0.0000 0.0000 0.0000
2 Na 0.2500 0.2500 0.2500
3 Na 0.7500 0.7500 0.7500
4 Co 0.5000 0.5000 0.5000
5 F 0.2837 0.2837 0.7163
6 F 0.2837 0.7163 0.2837
7 F 0.2837 0.7163 0.7163
8 F 0.7163 0.2837 0.2837
9 F 0.7163 0.2837 0.7163
10 F 0.7163 0.7163 0.2837

## Properties
For the formation energy, the calculation gives -2541 meV/atom. As for the space-group type: Fm-3m, No. 225.

---

Number 1: DFT total energy -4.7120 eV/atom. Number 2: DFT total energy -4.4433 eV/atom. Number 3: DFT total energy -4.5135 eV/atom. Number 4: DFT total energy -4.3353 eV/atom.